(1)
A relaxed Li9Mn2Co5O16 crystal, computed with meta-GGA r2SCAN.

Properties
Space-group type: P2 (3)
DFT formation energy: -1959.1 meV/atom
Energy relative to the lowest polymorph listed for this composition: 0.000 eV per atom
Total energy: -8.602 eV/atom

Cell lengths 4.869, 5.629, 9.463 Å; angles 90.00, 99.82, 90.00 degrees
Atoms (fractional coordinates):
Li  0.000  0.000  0.000
Li  0.240  0.997  0.752
Li  0.246  0.505  0.748
Li  0.248  0.246  0.254
Li  0.250  0.758  0.251
Li  0.750  0.758  0.749
Li  0.752  0.246  0.746
Li  0.754  0.505  0.252
Li  0.760  0.997  0.248
Mn  0.000  0.507  0.000
Mn  0.500  0.240  0.000
Co  0.000  0.252  0.500
Co  0.000  0.752  0.500
Co  0.500  0.002  0.500
Co  0.500  0.502  0.500
Co  0.500  0.753  0.000
O  0.131  0.002  0.390
O  0.131  0.502  0.391
O  0.133  0.738  0.886
O  0.139  0.265  0.887
O  0.366  0.500  0.112
O  0.370  0.252  0.609
O  0.370  0.752  0.609
O  0.394  0.004  0.115
O  0.606  0.004  0.885
O  0.630  0.252  0.391
O  0.630  0.752  0.391
O  0.634  0.500  0.888
O  0.861  0.265  0.113
O  0.867  0.738  0.114
O  0.869  0.002  0.610
O  0.869  0.502  0.609

---

(2)
A relaxed LaLu3S6 crystal, computed with meta-GGA r2SCAN.

Properties
Space-group type: P2_1/m (11)
DFT formation energy: -2418.2 meV/atom
Total energy: -21.637 eV/atom

Cell lengths 10.942, 3.937, 11.176 Å; angles 90.00, 109.04, 90.00 degrees
Atoms (fractional coordinates):
La  0.052  0.250  0.197
La  0.948  0.750  0.803
Lu  0.162  0.250  0.589
Lu  0.322  0.750  0.000
Lu  0.447  0.250  0.334
Lu  0.553  0.750  0.666
Lu  0.678  0.250  0.000
Lu  0.838  0.750  0.411
S  0.082  0.750  0.411
S  0.124  0.250  0.964
S  0.201  0.750  0.749
S  0.274  0.750  0.231
S  0.392  0.250  0.556
S  0.478  0.250  0.111
S  0.522  0.750  0.889
S  0.608  0.750  0.444
S  0.726  0.250  0.769
S  0.799  0.250  0.251
S  0.876  0.750  0.036
S  0.918  0.250  0.589

---

(3)
A relaxed Ba3TiO5 crystal, computed with meta-GGA r2SCAN.

Properties
Space-group type: I4/mcm (140)
DFT formation energy: -3115.6 meV/atom
Total energy: -16.704 eV/atom

Cell lengths 7.918, 7.918, 7.918 Å; angles 124.67, 124.67, 82.09 degrees
Atoms (fractional coordinates):
Ba  0.179  0.679  0.857
Ba  0.250  0.250  0.000
Ba  0.321  0.179  0.500
Ba  0.679  0.821  0.500
Ba  0.750  0.750  0.000
Ba  0.821  0.321  0.143
Ti  0.250  0.750  0.500
Ti  0.750  0.250  0.500
O  0.000  0.000  0.000
O  0.018  0.796  0.500
O  0.204  0.704  0.222
O  0.296  0.518  0.500
O  0.482  0.982  0.778
O  0.500  0.500  0.000
O  0.518  0.018  0.222
O  0.704  0.482  0.500
O  0.796  0.296  0.778
O  0.982  0.204  0.500

---

(4)
A relaxed GdI3O9 crystal, computed with meta-GGA r2SCAN.

Properties
Space-group type: P2_1/c (14)
DFT formation energy: -1090.4 meV/atom
Total energy: -14.231 eV/atom

Cell lengths 8.747, 5.923, 16.565 Å; angles 90.00, 114.60, 90.00 degrees
Atoms (fractional coordinates):
Gd  0.142  0.224  0.101
Gd  0.142  0.276  0.601
Gd  0.858  0.724  0.399
Gd  0.858  0.776  0.899
I  0.073  0.187  0.352
I  0.073  0.313  0.852
I  0.358  0.646  0.522
I  0.358  0.854  0.022
I  0.418  0.596  0.800
I  0.418  0.904  0.300
I  0.582  0.096  0.700
I  0.582  0.404  0.200
I  0.642  0.146  0.978
I  0.642  0.354  0.478
I  0.927  0.687  0.148
I  0.927  0.813  0.648
O  0.060  0.057  0.697
O  0.060  0.443  0.197
O  0.096  0.608  0.670
O  0.096  0.892  0.170
O  0.104  0.103  0.463
O  0.104  0.397  0.963
O  0.131  0.608  0.489
O  0.131  0.892  0.989
O  0.337  0.590  0.885
O  0.337  0.910  0.385
O  0.344  0.182  0.255
O  0.344  0.318  0.755
O  0.358  0.079  0.945
O  0.358  0.421  0.445
O  0.366  0.005  0.634
O  0.366  0.495  0.134
O  0.398  0.028  0.119
O  0.398  0.472  0.619
O  0.602  0.528  0.381
O  0.602  0.972  0.881
O  0.634  0.505  0.866
O  0.634  0.995  0.366
O  0.642  0.579  0.555
O  0.642  0.921  0.055
O  0.656  0.682  0.245
O  0.656  0.818  0.745
O  0.663  0.090  0.615
O  0.663  0.410  0.115
O  0.869  0.108  0.011
O  0.869  0.392  0.511
O  0.896  0.603  0.037
O  0.896  0.897  0.537
O  0.904  0.108  0.830
O  0.904  0.392  0.330
O  0.940  0.557  0.803
O  0.940  0.943  0.303

---

(5)
A relaxed Na3AlH6 crystal, computed with meta-GGA r2SCAN.

Properties
Space-group type: P2_1/c (14)
DFT formation energy: -271.0 meV/atom
Total energy: -4.087 eV/atom

Cell lengths 5.293, 5.490, 9.277 Å; angles 90.00, 124.78, 90.00 degrees
Atoms (fractional coordinates):
Na  0.000  0.000  0.000
Na  0.000  0.500  0.500
Na  0.258  0.047  0.746
Na  0.258  0.453  0.246
Na  0.742  0.547  0.754
Na  0.742  0.953  0.254
Al  0.500  0.000  0.500
Al  0.500  0.500  0.000
H  0.184  0.048  0.283
H  0.184  0.452  0.783
H  0.271  0.670  0.043
H  0.271  0.830  0.543
H  0.402  0.233  0.063
H  0.402  0.267  0.563
H  0.598  0.733  0.437
H  0.598  0.767  0.937
H  0.729  0.170  0.457
H  0.729  0.330  0.957
H  0.816  0.548  0.217
H  0.816  0.952  0.717

---

(6)
A relaxed PuSi2Ni2 crystal, computed with meta-GGA r2SCAN.

Properties
Space-group type: I4/mmm (139)
DFT formation energy: -743.1 meV/atom
Total energy: -26.317 eV/atom

Cell lengths 5.556, 5.556, 5.556 Å; angles 138.42, 138.42, 60.26 degrees
Atoms (fractional coordinates):
Pu  0.000  0.000  0.000
Si  0.373  0.373  0.000
Si  0.627  0.627  0.000
Ni  0.250  0.750  0.500
Ni  0.750  0.250  0.500

---

(7)
A relaxed Pr12Co6Pb crystal, computed with meta-GGA r2SCAN.

Properties
Space-group type: Im-3 (204)
DFT formation energy: -55.8 meV/atom
Total energy: -25.768 eV/atom

Cell lengths 8.745, 8.745, 8.745 Å; angles 109.47, 109.47, 109.47 degrees
Atoms (fractional coordinates):
Pr  0.114  0.806  0.308
Pr  0.194  0.308  0.502
Pr  0.194  0.692  0.886
Pr  0.308  0.114  0.806
Pr  0.308  0.502  0.194
Pr  0.498  0.806  0.692
Pr  0.502  0.194  0.308
Pr  0.692  0.498  0.806
Pr  0.692  0.886  0.194
Pr  0.806  0.308  0.114
Pr  0.806  0.692  0.498
Pr  0.886  0.194  0.692
Co  0.108  0.608  0.500
Co  0.392  0.500  0.892
Co  0.500  0.108  0.608
Co  0.500  0.892  0.392
Co  0.608  0.500  0.108
Co  0.892  0.392  0.500
Pb  0.000  0.000  0.000

---

(8)
A relaxed PrHo crystal, computed with meta-GGA r2SCAN.

Properties
Space-group type: P-6m2 (187)
DFT formation energy: 51.0 meV/atom
Total energy: -31.092 eV/atom

Cell lengths 3.674, 3.674, 5.841 Å; angles 90.00, 90.00, 120.00 degrees
Atoms (fractional coordinates):
Pr  0.000  0.000  0.000
Ho  0.333  0.667  0.500